No. 1
! Ba5Y2ZrAl2O13, optimized geometry, DFT GGA-PBE; values from VASP
&SYSTEM
  ibrav = 0, nat = 46, ntyp = 5
/
ATOMIC_SPECIES
O 16.00 O.upf
Ba 137.33 Ba.upf
Y 88.91 Y.upf
Zr 91.22 Zr.upf
Al 26.98 Al.upf
ATOMIC_POSITIONS crystal
O 0.6756 0.8378 0.4499
O 0.5058 0.4942 0.3413
O 0.3244 0.1622 0.9499
O 0.4942 0.5058 0.8413
O 0.1622 0.8378 0.4499
O 0.4942 0.5058 0.6587
O 0.8378 0.6756 0.9499
O 0.8378 0.1622 0.5501
O 0.9885 0.4942 0.3413
O 0.0115 0.5058 0.6587
O 0.1622 0.3244 0.4499
O 0.9885 0.4942 0.1587
O 0.1622 0.3244 0.0501
O 0.1622 0.8378 0.0501
O 0.8378 0.6756 0.5501
O 0.0115 0.5058 0.8413
O 0.3333 0.6667 0.7500
O 0.6667 0.3333 0.2500
O 0.3244 0.1622 0.5501
O 0.5058 0.0115 0.1587
O 0.4942 0.9885 0.6587
O 0.4942 0.9885 0.8413
O 0.6756 0.8378 0.0501
O 0.5058 0.0115 0.3413
O 0.5058 0.4942 0.1587
O 0.8378 0.1622 0.9499
Ba 0.3333 0.6667 0.5414
Ba 0.6667 0.3333 0.4586
Ba 0.3333 0.6667 0.2500
Ba 0.0000 0.0000 0.1368
Ba 0.0000 0.0000 0.3632
Ba 0.6667 0.3333 0.0414
Ba 0.0000 0.0000 0.8632
Ba 0.0000 0.0000 0.6368
Ba 0.3333 0.6667 0.9586
Ba 0.6667 0.3333 0.7500
Y 0.6667 0.3333 0.6042
Y 0.3333 0.6667 0.3958
Y 0.3333 0.6667 0.1042
Y 0.6667 0.3333 0.8958
Zr 0.0000 0.0000 0.0000
Zr 0.0000 0.0000 0.5000
Al 0.6667 0.3333 0.1813
Al 0.6667 0.3333 0.3187
Al 0.3333 0.6667 0.8187
Al 0.3333 0.6667 0.6813
CELL_PARAMETERS angstrom
0.1882 5.8899 1.3619
-1.9042 -1.7828 -5.4569
-23.7600 -1.2525 8.7002
! Size of the total moment, μB/cell: 0.0
! Formation energy from the elements, meV/atom: -3467.3
! VASP energy, eV/atom: -7.553
! Space-group type: No. 194



No. 2
! Ba3Al2P4, optimized geometry, DFT GGA-PBE; values from VASP
&SYSTEM
  ibrav = 0, nat = 36, ntyp = 3
/
ATOMIC_SPECIES
Al 26.98 Al.upf
P 30.97 P.upf
Ba 137.33 Ba.upf
ATOMIC_POSITIONS crystal
Al 0.5585 0.1250 0.0357
Al 0.9415 0.6250 0.5357
Al 0.9415 0.8750 0.5357
Al 0.0585 0.3750 0.4643
Al 0.4415 0.8750 0.9643
Al 0.4415 0.6250 0.9643
Al 0.5585 0.3750 0.0357
Al 0.0585 0.1250 0.4643
P 0.1939 0.7500 0.0276
P 0.8464 0.4435 0.6123
P 0.4110 0.2500 0.1681
P 0.0890 0.7500 0.6681
P 0.3464 0.4435 0.8877
P 0.3464 0.0565 0.8877
P 0.1536 0.9435 0.3877
P 0.1536 0.5565 0.3877
P 0.9110 0.2500 0.3319
P 0.5890 0.7500 0.8319
P 0.3061 0.2500 0.5276
P 0.6536 0.9435 0.1123
P 0.6536 0.5565 0.1123
P 0.8061 0.2500 0.9724
P 0.6939 0.7500 0.4724
P 0.8464 0.0565 0.6123
Ba 0.9209 0.5792 0.8598
Ba 0.0970 0.2500 0.7663
Ba 0.0791 0.4208 0.1402
Ba 0.9030 0.7500 0.2337
Ba 0.4209 0.5792 0.6402
Ba 0.4209 0.9208 0.6402
Ba 0.5791 0.0792 0.3598
Ba 0.4030 0.7500 0.2663
Ba 0.5970 0.2500 0.7337
Ba 0.5791 0.4208 0.3598
Ba 0.9209 0.9208 0.8598
Ba 0.0791 0.0792 0.1402
CELL_PARAMETERS angstrom
-0.7217 -6.8785 2.5539
9.3186 1.5635 6.8442
-6.9474 3.9094 8.5660
! Formation energy from the elements, meV/atom: -964.6
! VASP energy, eV/atom: -4.843
! Space-group type: No. 62



No. 3
! BaAl2S4, optimized geometry, DFT GGA-PBE; values from VASP
&SYSTEM
  ibrav = 0, nat = 84, ntyp = 3
/
ATOMIC_SPECIES
S 32.06 S.upf
Ba 137.33 Ba.upf
Al 26.98 Al.upf
ATOMIC_POSITIONS crystal
S 0.1287 0.1402 0.7910
S 0.7721 0.0252 0.4208
S 0.5792 0.2721 0.4748
S 0.7090 0.6287 0.1402
S 0.6287 0.1402 0.7090
S 0.8598 0.2090 0.8713
S 0.4748 0.5792 0.2721
S 0.0252 0.4208 0.7721
S 0.2279 0.9748 0.5792
S 0.9748 0.5792 0.2279
S 0.5792 0.2279 0.9748
S 0.2090 0.8713 0.8598
S 0.7910 0.3713 0.6402
S 0.7910 0.1287 0.1402
S 0.0792 0.2279 0.5252
S 0.0252 0.0792 0.2721
S 0.1287 0.3598 0.2910
S 0.5252 0.4208 0.7279
S 0.5252 0.0792 0.2279
S 0.6402 0.7090 0.8713
S 0.6402 0.7910 0.3713
S 0.2090 0.6287 0.3598
S 0.8598 0.2910 0.3713
S 0.7721 0.4748 0.9208
S 0.1402 0.7910 0.1287
S 0.3598 0.2910 0.1287
S 0.6287 0.3598 0.2090
S 0.8713 0.6402 0.7090
S 0.7279 0.5252 0.4208
S 0.3598 0.2090 0.6287
S 0.1402 0.7090 0.6287
S 0.2910 0.3713 0.8598
S 0.7090 0.8713 0.6402
S 0.9208 0.7279 0.9748
S 0.3713 0.6402 0.7910
S 0.9208 0.7721 0.4748
S 0.4208 0.7721 0.0252
S 0.2910 0.1287 0.3598
S 0.0792 0.2721 0.0252
S 0.2721 0.4748 0.5792
S 0.4208 0.7279 0.5252
S 0.4748 0.9208 0.7721
S 0.8713 0.8598 0.2090
S 0.9748 0.9208 0.7279
S 0.2279 0.5252 0.0792
S 0.3713 0.8598 0.2910
S 0.2721 0.0252 0.0792
S 0.7279 0.9748 0.9208
Ba 0.8728 0.1272 0.6272
Ba 0.5000 0.0000 0.5000
Ba 0.3728 0.1272 0.8728
Ba 0.8728 0.3728 0.1272
Ba 0.6272 0.8728 0.1272
Ba 0.5000 0.5000 0.0000
Ba 0.0000 0.0000 0.0000
Ba 0.3728 0.3728 0.3728
Ba 0.1272 0.6272 0.8728
Ba 0.1272 0.8728 0.3728
Ba 0.0000 0.5000 0.5000
Ba 0.6272 0.6272 0.6272
Al 0.6265 0.3040 0.6434
Al 0.8566 0.3735 0.8040
Al 0.1960 0.3566 0.1265
Al 0.1434 0.8735 0.6960
Al 0.6434 0.8735 0.8040
Al 0.3735 0.8040 0.8566
Al 0.6960 0.1434 0.8735
Al 0.3735 0.6960 0.3566
Al 0.1265 0.3040 0.8566
Al 0.6265 0.1960 0.1434
Al 0.1960 0.1434 0.6265
Al 0.3040 0.8566 0.1265
Al 0.3566 0.3735 0.6960
Al 0.8040 0.6434 0.8735
Al 0.6960 0.3566 0.3735
Al 0.3566 0.1265 0.1960
Al 0.1434 0.6265 0.1960
Al 0.6434 0.6265 0.3040
Al 0.8040 0.8566 0.3735
Al 0.1265 0.1960 0.3566
Al 0.8735 0.6960 0.1434
Al 0.3040 0.6434 0.6265
Al 0.8566 0.1265 0.3040
Al 0.8735 0.8040 0.6434
CELL_PARAMETERS angstrom
-9.0756 -7.1307 5.5267
6.3297 0.5532 11.1080
-6.4286 10.6115 3.1347
! Formation energy from the elements, meV/atom: -1755.3
! VASP energy, eV/atom: -5.176
! Space-group type: No. 205



No. 4
! BaAlSi, optimized geometry, DFT GGA-PBE; values from VASP
&SYSTEM
  ibrav = 0, nat = 3, ntyp = 3
/
ATOMIC_SPECIES
Al 26.98 Al.upf
Si 28.09 Si.upf
Ba 137.33 Ba.upf
ATOMIC_POSITIONS crystal
Al 0.6667 0.3333 0.5000
Si 0.3333 0.6667 0.5000
Ba 0.0000 0.0000 0.0000
CELL_PARAMETERS angstrom
2.1608 -3.7426 0.0000
2.1608 3.7426 0.0000
0.0000 0.0000 5.1890
! Formation energy from the elements, meV/atom: -364.2
! VASP energy, eV/atom: -4.084
! Space-group type: No. 187



No. 5
! BeAl3, optimized geometry, DFT GGA-PBE; values from VASP
&SYSTEM
  ibrav = 0, nat = 4, ntyp = 2
/
ATOMIC_SPECIES
Al 26.98 Al.upf
Be 9.01 Be.upf
ATOMIC_POSITIONS crystal
Al 0.2500 0.7500 0.5000
Al 0.5000 0.5000 0.0000
Al 0.7500 0.2500 0.5000
Be 0.0000 0.0000 0.0000
CELL_PARAMETERS angstrom
-2.1390 -2.1216 3.6476
-4.6761 0.6000 -0.3938
3.2319 -1.5625 -3.0813
! Size of the total moment, μB/cell: 0.0
! Formation energy from the elements, meV/atom: 159.6
! VASP energy, eV/atom: -3.584
! Space-group type: No. 139